(1)
Sr4Al6WO16 | GGA+U | relaxed

```
Sr4Al6WO16
1.0
-4.819 4.819 4.819
4.819 -4.819 4.819
4.819 4.819 -4.819
Sr Al W O
4 6 1 16
Cartesian
2.391 2.391 -2.391 Sr
2.391 -2.391 2.391 Sr
-2.391 2.391 2.391 Sr
2.428 2.428 2.428 Sr
4.819 2.409 0.000 Al
4.819 0.000 2.409 Al
2.409 4.819 0.000 Al
2.409 0.000 4.819 Al
0.000 4.819 2.409 Al
0.000 2.409 4.819 Al
0.000 0.000 0.000 W
3.776 3.776 -3.776 O
4.800 1.524 -1.524 O
4.800 -1.524 1.524 O
3.776 -3.776 3.776 O
1.043 1.043 1.043 O
4.838 1.524 1.524 O
1.524 4.800 -1.524 O
1.524 -1.524 4.800 O
3.295 3.295 0.019 O
3.295 0.019 3.295 O
-1.524 4.800 1.524 O
-1.524 1.524 4.800 O
1.524 4.838 1.524 O
1.524 1.524 4.838 O
0.019 3.295 3.295 O
-3.776 3.776 3.776 O
```

Output
V (Å³/atom): 16.58
Largest piezoelectric modulus (C/m2): 0.15
Offset from the most stable computed form (meV/atom): 12

***

(2)
CsVWO6 | GGA+U | relaxed

```
CsVWO6
1.0
-3.562 3.682 5.127
3.562 -3.682 5.127
3.562 3.682 -5.127
Cs V W O
2 2 2 12
Cartesian
0.000 1.841 1.264 Cs
3.562 1.841 3.863 Cs
1.781 1.841 -2.564 V
1.781 -1.841 2.564 V
3.562 0.000 0.000 W
0.000 0.000 5.127 W
3.562 -1.841 3.117 O
2.216 -0.501 1.282 O
4.907 -0.501 1.282 O
2.216 3.182 -1.282 O
1.346 -0.501 3.845 O
3.562 1.841 0.674 O
0.000 1.841 4.454 O
2.216 4.183 1.282 O
1.346 0.501 6.410 O
-1.346 4.183 3.845 O
1.346 4.183 3.845 O
0.000 5.523 2.010 O
```

Output
V (Å³/atom): 14.94

***

(3)
Mo4O11 | GGA+U | relaxed

```
Mo4O11
1.0
25.094 0.000 0.000
0.000 5.630 0.000
0.000 0.000 6.947
Mo O
16 44
Cartesian
0.734 1.408 1.070 Mo
2.162 4.223 3.321 Mo
3.704 1.408 5.565 Mo
5.141 4.223 0.902 Mo
7.406 1.408 4.376 Mo
8.843 4.223 2.091 Mo
10.385 1.408 6.795 Mo
11.813 4.223 4.544 Mo
13.281 1.408 2.404 Mo
14.709 4.223 0.152 Mo
16.251 1.408 4.856 Mo
17.688 4.223 2.571 Mo
19.953 1.408 6.045 Mo
21.390 4.223 1.382 Mo
22.932 1.408 3.626 Mo
24.360 4.223 5.877 Mo
0.000 0.000 0.000 O
0.000 2.815 0.000 O
0.842 4.223 4.555 O
1.630 2.850 2.276 O
1.630 5.595 2.276 O
2.399 1.408 6.790 O
3.205 0.021 4.550 O
3.205 2.794 4.550 O
4.106 4.223 2.372 O
4.769 0.036 6.879 O
4.769 2.779 6.879 O
5.638 1.408 4.743 O
6.909 4.223 1.270 O
7.778 2.851 3.406 O
7.778 5.594 3.406 O
8.441 1.408 5.845 O
9.342 2.836 1.076 O
9.342 5.610 1.076 O
10.148 4.223 3.316 O
10.917 0.035 5.750 O
10.917 2.780 5.750 O
11.705 1.408 1.081 O
12.547 0.000 3.474 O
12.547 2.815 3.474 O
13.389 4.223 5.866 O
14.176 2.850 1.198 O
14.176 5.595 1.198 O
14.946 1.408 3.631 O
15.752 0.021 5.871 O
15.752 2.794 5.871 O
16.653 4.223 1.102 O
17.316 0.036 3.542 O
17.316 2.779 3.542 O
18.185 1.408 5.678 O
19.456 4.223 2.204 O
20.325 2.851 0.068 O
20.325 5.594 0.068 O
20.988 1.408 4.576 O
21.889 2.836 2.398 O
21.889 5.610 2.398 O
22.695 4.223 0.157 O
23.464 0.035 4.671 O
23.464 2.780 4.671 O
24.252 1.408 2.393 O
```

Output
V (Å³/atom): 16.36
Offset from the most stable computed form (meV/atom): 1

***

(4)
Li3Fe8B8O24 | GGA+U | relaxed

```
Li3Fe8B8O24
1.0
5.244 0.000 0.000
0.104 9.120 0.000
2.589 4.442 10.192
Li Fe B O
3 8 8 24
Cartesian
0.000 0.000 0.000 Li
3.355 5.956 7.672 Li
3.540 5.939 2.589 Li
2.656 10.434 9.828 Fe
0.896 4.401 2.287 Fe
2.700 7.572 4.833 Fe
3.427 12.021 7.330 Fe
5.235 6.103 9.958 Fe
3.491 9.093 2.313 Fe
5.240 3.005 4.897 Fe
6.093 7.520 7.313 Fe
0.887 7.491 2.169 B
2.677 10.604 4.744 B
3.524 8.952 7.408 B
5.292 12.054 9.976 B
3.529 3.012 2.299 B
5.310 5.985 4.746 B
6.015 4.567 7.359 B
7.768 7.458 9.863 B
1.332 10.740 4.763 O
2.125 4.495 7.528 O
0.507 4.166 0.267 O
3.199 6.280 9.771 O
2.866 10.084 7.905 O
2.775 7.837 6.993 O
3.920 12.001 9.652 O
2.238 7.520 2.526 O
3.404 2.473 5.251 O
3.258 9.439 4.221 O
2.785 4.169 2.272 O
2.991 1.822 1.844 O
3.990 6.132 4.492 O
4.867 8.918 7.342 O
3.243 8.848 0.208 O
5.290 5.725 7.737 O
6.092 10.959 9.917 O
5.267 3.522 6.826 O
6.487 7.582 9.326 O
4.842 3.032 2.755 O
6.076 6.946 5.384 O
5.350 8.608 2.087 O
5.964 4.800 4.297 O
5.559 6.241 1.829 O
```

Output
V (Å³/atom): 11.33
Offset from the most stable computed form (meV/atom): 11

***

(5)
K3VO4 | GGA+U | relaxed

```
K3VO4
1.0
8.462 0.000 0.000
0.000 8.462 0.000
0.000 0.000 8.462
K V O
12 4 16
Cartesian
0.079 4.152 4.310 K
0.280 4.511 8.181 K
1.900 1.900 1.900 K
2.330 6.561 6.131 K
3.951 3.951 3.951 K
4.152 4.310 0.079 K
4.310 0.079 4.152 K
4.511 8.181 0.280 K
6.131 2.330 6.561 K
6.561 6.131 2.330 K
8.181 0.280 4.511 K
8.383 8.383 8.383 K
2.009 2.222 6.239 V
2.222 6.239 2.009 V
6.239 2.009 2.222 V
6.453 6.453 6.453 V
0.318 2.032 6.672 O
1.224 7.238 3.007 O
1.790 4.549 2.199 O
2.032 6.672 0.318 O
2.199 1.790 4.549 O
2.441 3.912 6.430 O
3.007 1.224 7.238 O
3.912 6.430 2.441 O
4.549 2.199 1.790 O
5.455 5.455 5.455 O
6.021 8.143 6.263 O
6.263 6.021 8.143 O
6.430 2.441 3.912 O
6.672 0.318 2.032 O
7.238 3.007 1.224 O
8.143 6.263 6.021 O
```

Output
V (Å³/atom): 18.93
Largest piezoelectric modulus (C/m2): 0.03

***

(6)
Li3FeCo2O6 | GGA+U | relaxed

```
Li3FeCo2O6
1.0
6.297 -1.421 0.000
6.297 1.421 0.000
-1.396 0.000 5.584
Li Fe Co O
3 1 2 6
Cartesian
0.000 0.000 0.000 Li
3.235 0.000 3.703 Li
7.962 0.000 1.881 Li
-0.698 0.000 2.792 Fe
3.957 0.000 0.920 Co
7.240 0.000 4.665 Co
1.189 0.000 3.369 O
2.107 0.000 0.372 O
5.824 0.000 1.469 O
5.373 0.000 4.116 O
9.091 0.000 5.212 O
10.009 0.000 2.215 O
```

Output
V (Å³/atom): 8.33

***

(7)
Ca2SbWO6 | GGA+U | relaxed

```
Ca2SbWO6
1.0
5.639 0.000 0.000
0.000 5.912 0.000
-5.561 0.000 8.207
Ca Sb W O
4 2 2 12
Cartesian
-0.052 0.340 2.062 Ca
-2.832 2.616 6.166 Ca
2.910 3.296 2.041 Ca
0.129 5.572 6.145 Ca
2.819 0.000 0.000 Sb
0.039 2.956 4.104 Sb
-2.781 0.000 4.104 W
0.000 2.956 0.000 W
-4.581 1.237 7.633 O
-1.800 1.718 3.529 O
-3.950 3.988 7.765 O
-1.170 4.879 3.661 O
-2.089 0.338 6.016 O
0.692 2.618 1.912 O
-0.615 3.293 6.295 O
2.166 5.574 2.191 O
1.247 1.032 4.547 O
4.028 1.924 0.443 O
1.878 4.193 4.678 O
4.659 4.674 0.575 O
```

Output
V (Å³/atom): 13.68
Offset from the most stable computed form (meV/atom): 0

***

(8)
MnOF | GGA+U | relaxed

```
MnOF
1.0
4.623 0.000 0.000
0.011 5.123 0.000
0.553 0.077 11.526
Mn O F
8 8 8
Cartesian
0.000 0.000 0.000 Mn
0.481 2.665 9.797 Mn
2.349 4.862 2.829 Mn
2.321 2.306 1.114 Mn
2.646 2.636 6.889 Mn
2.844 4.983 8.642 Mn
4.624 0.082 5.702 Mn
4.687 2.607 3.961 Mn
1.367 3.217 2.642 O
1.345 0.671 1.316 O
1.759 3.436 8.458 O
3.707 4.249 7.084 O
3.662 4.190 4.110 O
3.736 1.766 5.531 O
4.178 1.723 11.301 O
4.195 4.307 10.049 O
1.164 0.921 4.264 F
1.231 3.650 5.571 F
1.714 3.577 11.317 F
1.661 0.981 9.858 F
1.576 1.000 7.046 F
3.487 1.362 2.688 F
3.492 3.910 1.297 F
3.856 1.530 8.427 F
```

Output
V (Å³/atom): 11.38

***

(9)
Li5FeNi3O8 | GGA+U | relaxed

```
Li5FeNi3O8
1.0
2.996 -5.104 0.000
2.996 5.104 0.000
-0.200 0.000 9.741
Li Fe Ni O
10 2 6 16
Cartesian
2.896 5.069 4.871 Li
1.613 0.975 9.094 Li
2.891 3.144 9.039 Li
2.839 1.652 6.910 Li
1.713 -0.975 4.223 Li
4.031 1.011 9.106 Li
2.939 -1.652 2.039 Li
4.130 -1.011 4.235 Li
2.991 -3.144 4.168 Li
2.996 -5.069 0.000 Li
2.949 1.691 4.402 Fe
2.849 -1.691 9.273 Fe
1.506 0.887 1.922 Ni
2.988 3.414 1.930 Ni
1.406 -0.887 6.792 Ni
4.459 0.883 1.939 Ni
4.359 -0.883 6.810 Ni
2.888 -3.414 6.800 Ni
2.849 5.040 7.830 O
1.573 2.511 3.162 O
1.410 0.802 5.563 O
2.931 3.335 5.573 O
1.510 -0.802 0.693 O
3.023 1.718 0.840 O
2.950 0.102 3.161 O
4.399 2.491 3.162 O
2.850 -0.102 8.031 O
1.473 -2.511 8.033 O
4.370 0.772 5.595 O
2.924 -1.718 5.710 O
4.470 -0.772 0.724 O
3.030 -3.335 0.702 O
4.299 -2.491 8.032 O
2.949 -5.040 2.959 O
```

Output
V (Å³/atom): 8.76

***

(10)
LiMgVO4 | GGA+U | relaxed

```
LiMgVO4
1.0
2.857 -4.357 0.000
2.857 4.357 0.000
0.000 0.000 6.323
Li Mg V O
2 2 2 8
Cartesian
2.857 2.939 4.743 Li
2.857 -2.939 1.581 Li
2.857 0.000 0.000 Mg
2.857 0.000 3.162 Mg
2.857 3.087 1.581 V
2.857 -3.087 4.743 V
1.404 0.173 4.743 O
2.857 2.091 0.186 O
2.857 2.091 2.975 O
1.404 -0.173 1.581 O
4.310 0.173 4.743 O
2.857 -2.091 3.348 O
2.857 -2.091 6.137 O
4.310 -0.173 1.581 O
```

Output
V (Å³/atom): 11.24

***

(11)
Co3SnO8 | GGA+U | relaxed

```
Co3SnO8
1.0
5.675 0.000 0.000
-2.838 4.915 0.000
0.000 0.000 9.391
Co Sn O
6 2 16
Cartesian
0.000 1.647 0.000 Co
-1.412 4.092 0.000 Co
1.426 0.823 4.696 Co
1.412 4.092 0.000 Co
4.249 0.823 4.696 Co
2.838 3.268 4.696 Co
0.000 3.277 2.617 Sn
2.838 1.638 7.313 Sn
0.000 0.000 0.969 O
0.000 0.000 5.664 O
-1.282 2.536 1.057 O
0.000 1.539 3.721 O
-1.505 4.146 3.721 O
1.333 0.769 8.417 O
0.000 3.277 8.416 O
1.282 2.536 1.057 O
0.000 4.757 1.057 O
2.838 0.158 5.752 O
1.555 2.379 5.752 O
2.838 1.638 3.721 O
1.505 4.146 3.721 O
4.343 0.769 8.417 O
2.838 3.376 8.417 O
4.120 2.379 5.752 O
```

Output
V (Å³/atom): 10.92

***

(12)
Mo2P4O15 | GGA+U | relaxed

```
Mo2P4O15
1.0
8.496 0.000 0.000
0.000 6.833 0.000
-3.073 0.000 10.675
Mo P O
4 8 30
Cartesian
0.000 0.006 0.000 Mo
-1.536 6.827 5.337 Mo
2.914 3.404 7.425 Mo
4.451 3.429 2.088 Mo
1.113 2.479 2.363 P
-0.424 4.354 7.700 P
1.766 0.912 5.025 P
0.230 5.921 10.363 P
2.301 1.314 10.131 P
3.838 5.519 4.794 P
6.052 2.118 7.977 P
7.588 4.715 2.640 P
-1.806 1.127 7.022 O
-0.270 5.705 1.685 O
0.327 1.663 1.387 O
-1.210 5.170 6.724 O
-1.315 3.210 8.345 O
0.221 3.622 3.008 O
0.523 0.298 5.619 O
2.059 6.535 0.282 O
1.403 1.591 3.641 O
-0.133 5.242 8.978 O
2.383 3.099 1.842 O
0.847 3.733 7.179 O
1.144 0.253 9.804 O
2.680 6.580 4.466 O
2.529 1.836 5.917 O
4.066 4.996 0.580 O
4.764 2.331 0.397 O
3.228 4.502 5.734 O
2.606 1.884 8.757 O
4.143 4.948 3.419 O
4.526 2.164 3.213 O
2.990 4.669 8.550 O
6.522 0.534 0.084 O
4.986 6.299 5.421 O
4.888 2.877 7.347 O
6.424 3.955 2.010 O
6.884 1.250 4.199 O
5.348 5.583 9.536 O
5.741 1.518 9.333 O
7.278 5.315 3.995 O
```

Output
V (Å³/atom): 14.75
Offset from the most stable computed form (meV/atom): 0

***

The calculation returns the following energy relative to the elements values, one per record and in order: -3297 -2310 -1939 -2244 -2286 -1783 -2529 -2319 -1611 -2663 -1276 -2430 meV/atom.